DFT (r2SCAN) results for PmSbAu2 after structural relaxation.

Cell lengths 5.051, 5.051, 5.051 Å; angles 60.00, 60.00, 60.00 degrees
Element x y z (fractional)
Sb 0.750 0.750 0.750
Au 0.500 0.500 0.500
Au 0.000 0.000 0.000
Pm 0.250 0.250 0.250

- Energy of formation: -0.682 eV/atom

DFT (r2SCAN) results for Pm2SiAu after structural relaxation.

Cell lengths 5.167, 5.167, 5.167 Å; angles 60.00, 60.00, 60.00 degrees
Element x y z (fractional)
Pm 0.500 0.500 0.500
Pm 0.000 0.000 0.000
Si 0.750 0.750 0.750
Au 0.250 0.250 0.250

- Energy of formation: -0.710 eV/atom

DFT (r2SCAN) results for Pr2Au after structural relaxation.

Cell lengths 5.134, 7.370, 9.379 Å; angles 90.00, 90.00, 90.00 degrees
Element x y z (fractional)
Pr 0.750 0.003 0.327
Pr 0.250 0.352 0.410
Pr 0.750 0.648 0.590
Pr 0.750 0.503 0.173
Au 0.250 0.258 0.093
Pr 0.250 0.852 0.090
Au 0.750 0.742 0.907
Pr 0.750 0.148 0.910
Au 0.750 0.242 0.593
Au 0.250 0.758 0.407
Pr 0.250 0.497 0.827
Pr 0.250 0.997 0.673

- Energy of formation: -0.613 eV/atom

DFT (r2SCAN) results for Pr3Sb4Au3 after structural relaxation.

Cell lengths 8.770, 8.770, 8.770 Å; angles 109.47, 109.47, 109.47 degrees
Element x y z (fractional)
Pr 0.250 0.625 0.375
Au 0.625 0.750 0.375
Sb 0.831 0.500 0.000
Sb 0.000 0.831 0.500
Sb 0.500 0.000 0.331
Au 0.750 0.375 0.625
Sb 0.669 0.669 0.669
Pr 0.875 0.125 0.750
Sb 0.169 0.169 0.169
Pr 0.125 0.750 0.875
Sb 0.500 0.000 0.831
Au 0.375 0.625 0.750
Sb 0.331 0.500 0.000
Au 0.250 0.125 0.875
Au 0.125 0.875 0.250
Pr 0.625 0.375 0.250
Pr 0.750 0.875 0.125
Sb 0.000 0.331 0.500
Pr 0.375 0.250 0.625
Au 0.875 0.250 0.125

- Energy of formation: -1.013 eV/atom

DFT (r2SCAN) results for PrSi2Au2 after structural relaxation.

Cell lengths 4.342, 4.342, 5.949 Å; angles 111.40, 111.40, 90.00 degrees
Element x y z (fractional)
Pr 0.000 0.000 0.000
Au 0.250 0.750 0.500
Si 0.615 0.615 0.230
Si 0.385 0.385 0.770
Au 0.750 0.250 0.500

- Energy of formation: -0.665 eV/atom

DFT (r2SCAN) results for PrSnAu after structural relaxation.

Cell lengths 4.760, 4.760, 7.803 Å; angles 90.00, 90.00, 120.00 degrees
Element x y z (fractional)
Au 0.333 0.667 0.062
Sn 0.667 0.333 0.973
Sn 0.333 0.667 0.473
Au 0.667 0.333 0.562
Pr 0.000 0.000 0.748
Pr 0.000 0.000 0.248

- Energy of formation: -0.924 eV/atom

Q: energy of formation of number 6 (PrSnAu)?
A: -0.924 eV/atom